1.
DFT (PBE) results for a geometry-optimized Pm3Y structure.

```
data_Pm3Y
_chemical_formula_sum 'Pm6 Y2'
_cell_length_a 7.3286
_cell_length_b 7.3286
_cell_length_c 5.9283
_cell_angle_alpha 90.00
_cell_angle_beta 90.00
_cell_angle_gamma 120.00
_space_group_name_H-M_alt 'P 63/m m c'
_space_group_IT_number 194
_space_group_name_Hall '-P 6c 2c'
loop_
_atom_site_label
_atom_site_type_symbol
_atom_site_fract_x
_atom_site_fract_y
_atom_site_fract_z
_atom_site_occupancy
Pm1 Pm 0.1668 0.3337 0.2500 1
Y1 Y 0.3333 0.6667 0.7500 1
```

Values from the calculation:
For the volume, the calculation gives 34.5 A^3/atom.

---

2.
DFT (PBE) results for a geometry-optimized Pm3Y structure.

```
data_Pm3Y
_chemical_formula_sum 'Pm3 Y1'
_cell_length_a 5.140
_cell_length_b 5.140
_cell_length_c 5.140
_cell_angle_alpha 90.00
_cell_angle_beta 90.00
_cell_angle_gamma 90.00
_space_group_name_H-M_alt 'P m -3 m'
_space_group_IT_number 221
_space_group_name_Hall '-P 4 2 3'
loop_
_atom_site_label
_atom_site_type_symbol
_atom_site_fract_x
_atom_site_fract_y
_atom_site_fract_z
_atom_site_occupancy
Pm1 Pm 0.000 0.000 0.500 1
Y1 Y 0.500 0.500 0.500 1
```

Values from the calculation:
For the volume, the calculation gives 34.0 A^3/atom.

---

Stability order, top to bottom: 2, 1

---

1.
DFT (PBE) results for a geometry-optimized SiC structure.

```
data_SiC
_chemical_formula_sum 'Si15 C15'
_cell_length_a 3.0948
_cell_length_b 3.0948
_cell_length_c 37.9637
_cell_angle_alpha 90.00
_cell_angle_beta 90.00
_cell_angle_gamma 120.00
_space_group_name_H-M_alt 'R 3 m'
_space_group_IT_number 160
_space_group_name_Hall 'R 3 -2"'
loop_
_atom_site_label
_atom_site_type_symbol
_atom_site_fract_x
_atom_site_fract_y
_atom_site_fract_z
_atom_site_occupancy
Si1 Si 0.0000 0.0000 0.0000 1
Si2 Si 0.0000 0.0000 0.1334 1
Si3 Si 0.0000 0.0000 0.2667 1
Si4 Si 0.0000 0.0000 0.5334 1
Si5 Si 0.0000 0.0000 0.7334 1
C1 C 0.0000 0.0000 0.0500 1
C2 C 0.0000 0.0000 0.1834 1
C3 C 0.0000 0.0000 0.3168 1
C4 C 0.0000 0.0000 0.5836 1
C5 C 0.0000 0.0000 0.7835 1
```

Values from the calculation:
For the volume, the calculation gives 10.5 A^3/atom. The calculation puts the piezoelectric modulus e_max at 0.07 C/m².

---

2.
DFT (PBE) results for a geometry-optimized SiC structure.

```
data_SiC
_chemical_formula_sum 'Si87 C87'
_cell_length_a 3.0977
_cell_length_b 3.0977
_cell_length_c 219.6951
_cell_angle_alpha 90.00
_cell_angle_beta 90.00
_cell_angle_gamma 120.00
_space_group_name_H-M_alt 'R 3 m'
_space_group_IT_number 160
_space_group_name_Hall 'R 3 -2"'
loop_
_atom_site_label
_atom_site_type_symbol
_atom_site_fract_x
_atom_site_fract_y
_atom_site_fract_z
_atom_site_occupancy
Si1 Si 0.0000 0.0000 0.0000 1
Si2 Si 0.0000 0.0000 0.0230 1
Si3 Si 0.0000 0.0000 0.0460 1
Si4 Si 0.0000 0.0000 0.0920 1
Si5 Si 0.0000 0.0000 0.1150 1
Si6 Si 0.0000 0.0000 0.1609 1
Si7 Si 0.0000 0.0000 0.1839 1
Si8 Si 0.0000 0.0000 0.2299 1
Si9 Si 0.0000 0.0000 0.2529 1
Si10 Si 0.0000 0.0000 0.2988 1
Si11 Si 0.0000 0.0000 0.3219 1
Si12 Si 0.0000 0.0000 0.3678 1
Si13 Si 0.0000 0.0000 0.4023 1
Si14 Si 0.0000 0.0000 0.4368 1
Si15 Si 0.0000 0.0000 0.4713 1
Si16 Si 0.0000 0.0000 0.5058 1
Si17 Si 0.0000 0.0000 0.5402 1
Si18 Si 0.0000 0.0000 0.5747 1
Si19 Si 0.0000 0.0000 0.6092 1
Si20 Si 0.0000 0.0000 0.6437 1
Si21 Si 0.0000 0.0000 0.6782 1
Si22 Si 0.0000 0.0000 0.7241 1
Si23 Si 0.0000 0.0000 0.7471 1
Si24 Si 0.0000 0.0000 0.7931 1
Si25 Si 0.0000 0.0000 0.8161 1
Si26 Si 0.0000 0.0000 0.8621 1
Si27 Si 0.0000 0.0000 0.8851 1
Si28 Si 0.0000 0.0000 0.9310 1
Si29 Si 0.0000 0.0000 0.9540 1
C1 C 0.0000 0.0000 0.0144 1
C2 C 0.0000 0.0000 0.0374 1
C3 C 0.0000 0.0000 0.0833 1
C4 C 0.0000 0.0000 0.1063 1
C5 C 0.0000 0.0000 0.1523 1
C6 C 0.0000 0.0000 0.1753 1
C7 C 0.0000 0.0000 0.2213 1
C8 C 0.0000 0.0000 0.2442 1
C9 C 0.0000 0.0000 0.2902 1
C10 C 0.0000 0.0000 0.3132 1
C11 C 0.0000 0.0000 0.3592 1
C12 C 0.0000 0.0000 0.3936 1
C13 C 0.0000 0.0000 0.4281 1
C14 C 0.0000 0.0000 0.4626 1
C15 C 0.0000 0.0000 0.4971 1
C16 C 0.0000 0.0000 0.5316 1
C17 C 0.0000 0.0000 0.5661 1
C18 C 0.0000 0.0000 0.6005 1
C19 C 0.0000 0.0000 0.6350 1
C20 C 0.0000 0.0000 0.6695 1
C21 C 0.0000 0.0000 0.7155 1
C22 C 0.0000 0.0000 0.7385 1
C23 C 0.0000 0.0000 0.7845 1
C24 C 0.0000 0.0000 0.8075 1
C25 C 0.0000 0.0000 0.8534 1
C26 C 0.0000 0.0000 0.8764 1
C27 C 0.0000 0.0000 0.9224 1
C28 C 0.0000 0.0000 0.9454 1
C29 C 0.0000 0.0000 0.9914 1
```

Values from the calculation:
For the volume, the calculation gives 10.5 A^3/atom. The value obtained for the total magnetization is 0.000 μB/cell.

---

Stability order, top to bottom: 1, 2

---

1.
DFT (PBE) results for a geometry-optimized Te2MoW3S6 structure.

```
data_Te2MoW3S6
_chemical_formula_sum 'Te2 Mo1 W3 S6'
_cell_length_a 3.2720
_cell_length_b 3.2720
_cell_length_c 37.2078
_cell_angle_alpha 90.00
_cell_angle_beta 90.00
_cell_angle_gamma 120.00
_space_group_name_H-M_alt 'P 3 m 1'
_space_group_IT_number 156
_space_group_name_Hall 'P 3 -2"'
loop_
_atom_site_label
_atom_site_type_symbol
_atom_site_fract_x
_atom_site_fract_y
_atom_site_fract_z
_atom_site_occupancy
Te1 Te 0.0000 0.0000 0.0000 1
Te2 Te 0.0000 0.0000 0.1043 1
Mo1 Mo 0.0000 0.0000 0.4885 1
W1 W 0.0000 0.0000 0.8642 1
W2 W 0.3333 0.6667 0.0522 1
W3 W 0.3333 0.6667 0.6764 1
S1 S 0.0000 0.0000 0.6348 1
S2 S 0.0000 0.0000 0.7179 1
S3 S 0.3333 0.6667 0.4472 1
S4 S 0.3333 0.6667 0.5298 1
S5 S 0.3333 0.6667 0.8227 1
S6 S 0.3333 0.6667 0.9057 1
```

Values from the calculation:
For the volume, the calculation gives 28.7 A^3/atom. The value obtained for the total magnetization is 0.000 μB/cell.

---

2.
DFT (PBE) results for a geometry-optimized Te2MoW3S6 structure.

```
data_Te2MoW3S6
_chemical_formula_sum 'Te2 Mo1 W3 S6'
_cell_length_a 3.2714
_cell_length_b 3.2714
_cell_length_c 37.1732
_cell_angle_alpha 90.00
_cell_angle_beta 90.00
_cell_angle_gamma 120.00
_space_group_name_H-M_alt 'P 3 m 1'
_space_group_IT_number 156
_space_group_name_Hall 'P 3 -2"'
loop_
_atom_site_label
_atom_site_type_symbol
_atom_site_fract_x
_atom_site_fract_y
_atom_site_fract_z
_atom_site_occupancy
Te1 Te 0.0000 0.0000 0.0000 1
Te2 Te 0.0000 0.0000 0.1037 1
Mo1 Mo 0.6667 0.3333 0.0518 1
W1 W 0.0000 0.0000 0.2398 1
W2 W 0.0000 0.0000 0.6156 1
W3 W 0.6667 0.3333 0.4276 1
S1 S 0.0000 0.0000 0.3861 1
S2 S 0.0000 0.0000 0.4692 1
S3 S 0.6667 0.3333 0.1983 1
S4 S 0.6667 0.3333 0.2814 1
S5 S 0.6667 0.3333 0.5740 1
S6 S 0.6667 0.3333 0.6571 1
```

Values from the calculation:
For the volume, the calculation gives 28.7 A^3/atom. The value obtained for the total magnetization is 0.000 μB/cell.

---

Stability order, top to bottom: 2, 1

---

1.
DFT (PBE) results for a geometry-optimized LiTi2O4 structure.

```
data_LiTi2O4
_chemical_formula_sum 'Li7 Ti14 O28'
_cell_length_a 7.866
_cell_length_b 7.887
_cell_length_c 10.650
_cell_angle_alpha 80.84
_cell_angle_beta 87.27
_cell_angle_gamma 60.13
_space_group_name_H-M_alt 'P 1'
_space_group_IT_number 1
_space_group_name_Hall 'P 1'
loop_
_atom_site_label
_atom_site_type_symbol
_atom_site_fract_x
_atom_site_fract_y
_atom_site_fract_z
_atom_site_occupancy
Li1 Li 0.000 0.000 0.000 1
Li2 Li 0.017 0.907 0.517 1
Li3 Li 0.287 0.559 0.004 1
Li4 Li 0.355 0.197 0.560 1
Li5 Li 0.564 0.129 0.000 1
Li6 Li 0.647 0.753 0.560 1
Li7 Li 0.861 0.492 0.044 1
Ti1 Ti 0.021 0.804 0.786 1
Ti2 Ti 0.106 0.451 0.286 1
Ti3 Ti 0.189 0.079 0.785 1
Ti4 Ti 0.255 0.727 0.284 1
Ti5 Ti 0.318 0.384 0.773 1
Ti6 Ti 0.380 0.027 0.277 1
Ti7 Ti 0.460 0.667 0.786 1
Ti8 Ti 0.552 0.296 0.285 1
Ti9 Ti 0.616 0.937 0.790 1
Ti10 Ti 0.677 0.591 0.285 1
Ti11 Ti 0.745 0.245 0.764 1
Ti12 Ti 0.820 0.868 0.277 1
Ti13 Ti 0.907 0.507 0.775 1
Ti14 Ti 0.963 0.164 0.278 1
O1 O 0.007 0.947 0.180 1
O2 O 0.062 0.671 0.381 1
O3 O 0.091 0.538 0.887 1
O4 O 0.136 0.339 0.677 1
O5 O 0.145 0.241 0.180 1
O6 O 0.201 0.947 0.381 1
O7 O 0.225 0.822 0.893 1
O8 O 0.260 0.645 0.686 1
O9 O 0.290 0.519 0.184 1
O10 O 0.353 0.229 0.381 1
O11 O 0.378 0.115 0.882 1
O12 O 0.419 0.924 0.678 1
O13 O 0.434 0.804 0.188 1
O14 O 0.490 0.519 0.378 1
O15 O 0.514 0.395 0.882 1
O16 O 0.550 0.205 0.679 1
O17 O 0.575 0.093 0.180 1
O18 O 0.635 0.808 0.381 1
O19 O 0.673 0.674 0.882 1
O20 O 0.690 0.507 0.678 1
O21 O 0.723 0.380 0.177 1
O22 O 0.786 0.083 0.382 1
O23 O 0.798 0.986 0.888 1
O24 O 0.837 0.779 0.675 1
O25 O 0.864 0.654 0.178 1
O26 O 0.921 0.377 0.378 1
O27 O 0.944 0.252 0.878 1
O28 O 0.983 0.058 0.682 1
```

Values from the calculation:
For the volume, the calculation gives 11.5 A^3/atom. The value obtained for the total magnetization is 7.001 μB/cell.

---

2.
DFT (PBE) results for a geometry-optimized LiTi2O4 structure.

```
data_LiTi2O4
_chemical_formula_sum 'Li2 Ti4 O8'
_cell_length_a 2.955
_cell_length_b 5.113
_cell_length_c 9.766
_cell_angle_alpha 90.00
_cell_angle_beta 90.00
_cell_angle_gamma 90.00
_space_group_name_H-M_alt 'P m c 21'
_space_group_IT_number 26
_space_group_name_Hall 'P 2c -2'
loop_
_atom_site_label
_atom_site_type_symbol
_atom_site_fract_x
_atom_site_fract_y
_atom_site_fract_z
_atom_site_occupancy
Li1 Li 0.000 0.187 0.000 1
Ti1 Ti 0.000 0.234 0.671 1
Ti2 Ti 0.500 0.273 0.390 1
O1 O 0.000 0.039 0.318 1
O2 O 0.000 0.447 0.498 1
O3 O 0.500 0.039 0.567 1
O4 O 0.500 0.445 0.756 1
```

Values from the calculation:
For the volume, the calculation gives 10.5 A^3/atom. The value obtained for the total magnetization is 1.996 μB/cell.

---

Stability order, top to bottom: 2, 1

---

1.
DFT (PBE) results for a geometry-optimized KSn2F5 structure.

```
data_KSn2F5
_chemical_formula_sum 'K2 Sn4 F10'
_cell_length_a 6.950
_cell_length_b 5.354
_cell_length_c 8.815
_cell_angle_alpha 90.00
_cell_angle_beta 92.50
_cell_angle_gamma 90.00
_space_group_name_H-M_alt 'C 1 m 1'
_space_group_IT_number 8
_space_group_name_Hall 'C -2y'
loop_
_atom_site_label
_atom_site_type_symbol
_atom_site_fract_x
_atom_site_fract_y
_atom_site_fract_z
_atom_site_occupancy
K1 K 0.000 0.000 0.000 1
Sn1 Sn 0.213 0.500 0.387 1
Sn2 Sn 0.354 0.000 0.682 1
F1 F 0.006 0.000 0.335 1
F2 F 0.103 0.248 0.730 1
F3 F 0.158 0.500 0.159 1
F4 F 0.362 0.000 0.916 1
```

Values from the calculation:
For the volume, the calculation gives 20.5 A^3/atom. The value obtained for the total magnetization is 0.001 μB/cell.

---

2.
DFT (PBE) results for a geometry-optimized KSn2F5 structure.

```
data_KSn2F5
_chemical_formula_sum 'K18 Sn36 F90'
_cell_length_a 7.3921
_cell_length_b 7.3921
_cell_length_c 56.5849
_cell_angle_alpha 90.00
_cell_angle_beta 90.00
_cell_angle_gamma 120.00
_space_group_name_H-M_alt 'P 3'
_space_group_IT_number 143
_space_group_name_Hall 'P 3'
loop_
_atom_site_label
_atom_site_type_symbol
_atom_site_fract_x
_atom_site_fract_y
_atom_site_fract_z
_atom_site_occupancy
K1 K 0.0000 0.0000 0.0000 1
K2 K 0.0000 0.0000 0.1628 1
K3 K 0.0000 0.0000 0.3283 1
K4 K 0.0000 0.0000 0.4961 1
K5 K 0.0000 0.0000 0.6648 1
K6 K 0.0000 0.0000 0.8328 1
K7 K 0.3333 0.6667 0.1567 1
K8 K 0.3333 0.6667 0.3221 1
K9 K 0.3333 0.6667 0.4891 1
K10 K 0.3333 0.6667 0.6580 1
K11 K 0.3333 0.6667 0.8262 1
K12 K 0.3333 0.6667 0.9935 1
K13 K 0.6667 0.3333 0.1594 1
K14 K 0.6667 0.3333 0.3256 1
K15 K 0.6667 0.3333 0.4924 1
K16 K 0.6667 0.3333 0.6600 1
K17 K 0.6667 0.3333 0.8279 1
K18 K 0.6667 0.3333 0.9954 1
Sn1 Sn 0.0004 0.3402 0.3820 1
Sn2 Sn 0.9996 0.3395 0.8818 1
Sn3 Sn 0.0046 0.6745 0.7693 1
Sn4 Sn 0.0095 0.6744 0.6023 1
Sn5 Sn 0.3334 0.3283 0.1041 1
Sn6 Sn 0.3344 0.3284 0.2706 1
Sn7 Sn 0.3394 0.0010 0.0491 1
Sn8 Sn 0.3398 0.0006 0.5489 1
Sn9 Sn 0.3396 0.0015 0.2155 1
Sn10 Sn 0.3405 0.0022 0.7153 1
Sn11 Sn 0.3526 0.3451 0.9369 1
Sn12 Sn 0.3556 0.3494 0.4357 1
F1 F 0.0000 0.0000 0.1065 1
F2 F 0.0000 0.0000 0.2735 1
F3 F 0.0000 0.7747 0.5425 1
F4 F 0.0001 0.7765 0.3760 1
F5 F 0.0007 0.7753 0.7080 1
F6 F 0.0006 0.7770 0.0414 1
F7 F 0.0010 0.7773 0.2093 1
F8 F 0.0006 0.7772 0.8740 1
F9 F 0.0032 0.3569 0.8452 1
F10 F 0.0036 0.3574 0.0127 1
F11 F 0.0035 0.3582 0.6788 1
F12 F 0.0053 0.3583 0.1795 1
F13 F 0.0065 0.3583 0.3460 1
F14 F 0.0058 0.3597 0.5131 1
F15 F 0.1041 0.4407 0.9443 1
F16 F 0.1063 0.4412 0.4458 1
F17 F 0.1101 0.4434 0.1105 1
F18 F 0.1104 0.4431 0.2772 1
F19 F 0.1120 0.4495 0.7776 1
F20 F 0.1126 0.4501 0.6115 1
F21 F 0.3223 0.2952 0.8053 1
F22 F 0.3226 0.2939 0.6385 1
F23 F 0.3227 0.2976 0.9723 1
F24 F 0.3245 0.2977 0.4721 1
F25 F 0.3269 0.3074 0.1400 1
F26 F 0.3282 0.3086 0.3064 1
F27 F 0.3333 0.6667 0.0449 1
F28 F 0.3333 0.6667 0.2130 1
F29 F 0.3333 0.6667 0.3795 1
F30 F 0.3333 0.6667 0.5473 1
F31 F 0.3333 0.6667 0.7124 1
F32 F 0.3333 0.6667 0.8775 1
F33 F 0.6667 0.3333 0.0433 1
F34 F 0.6667 0.3333 0.1088 1
F35 F 0.6667 0.3333 0.2102 1
F36 F 0.6667 0.3333 0.2757 1
F37 F 0.6667 0.3333 0.3775 1
F38 F 0.6667 0.3333 0.4417 1
F39 F 0.6667 0.3333 0.5446 1
F40 F 0.6667 0.3333 0.7097 1
F41 F 0.6667 0.3333 0.8760 1
F42 F 0.6667 0.3333 0.9412 1
```

Values from the calculation:
For the volume, the calculation gives 18.6 A^3/atom. The value obtained for the total magnetization is 0.316 μB/cell.

---

Stability order, top to bottom: 2, 1